[1]
6
Lattice="-3.362 0.487 -0.116 1.607 -0.056 2.995 1.188 8.092 -0.485" Properties=species:S:1:pos:R:3 comment="Gd2CoB3 GGA-PBE relaxed" energy_ev_per_atom=-9.58 delta_e_f_mev_per_atom=-363.7 m_tot_mub_per_cell=14.52 space_group="No. 187" pbc="T T T"
Gd 0.230 2.029 1.844
Gd 0.859 6.312 1.587
B -1.706 0.306 0.921
B 0.000 0.000 0.000
B 0.594 4.046 -0.243
Co -1.112 4.351 0.679

[2]
177
Lattice="-8.009 -16.196 -2.192 1.020 8.443 -16.026 16.770 -2.358 6.669" Properties=species:S:1:pos:R:3 comment="Li3Nb16Cl40 GGA-PBE relaxed" energy_ev_per_atom=-5.39 delta_e_f_mev_per_atom=-1711.9 m_tot_mub_per_cell=1.00 space_group="No. 1" pbc="T T T"
Cl 8.638 -0.027 -6.254
Cl 3.406 -3.497 -8.469
Cl 9.436 -10.881 -6.836
Cl 7.841 -3.797 -4.459
Cl -1.562 -7.802 -11.213
Cl -5.230 -14.259 -1.455
Cl 10.426 -5.416 -10.749
Cl 11.747 -9.062 1.093
Cl 0.746 -5.957 -13.315
Cl 5.774 -3.152 2.197
Cl 2.055 -1.620 -13.367
Cl 4.137 -1.096 -10.580
Cl 7.754 -7.320 -11.253
Cl 15.571 -0.169 -3.580
Cl 1.407 4.286 -11.357
Cl 5.638 -9.011 -0.948
Cl 4.752 -0.676 0.254
Cl 10.556 -11.432 3.091
Cl 1.809 -8.581 -11.421
Cl 7.933 -1.550 -0.110
Cl 2.332 -9.690 -0.553
Cl 7.132 -10.119 -9.274
Cl 3.505 2.838 -9.019
Cl -2.784 -8.744 -4.242
Cl -4.008 -11.318 -2.324
Cl 10.553 -8.144 4.251
Cl 0.246 -10.163 -8.596
Cl -3.261 -7.292 -8.451
Cl -0.752 -1.960 -15.748
Cl 8.771 -10.905 -3.608
Cl 1.014 0.763 -7.963
Cl 7.893 2.933 -8.006
Cl 6.413 -8.125 -6.250
Cl 10.394 -2.259 -9.742
Cl 11.297 -2.444 -0.270
Cl 9.923 -8.172 -8.672
Cl 10.399 -8.107 -1.761
Cl -2.032 -5.034 -6.221
Cl 3.528 -7.931 -4.496
Cl 6.335 -0.936 -3.814
Cl 1.973 -6.319 -7.089
Cl 3.269 -6.511 -1.515
Cl 4.973 -9.425 -11.650
Cl -0.634 -4.704 -0.788
Cl 6.507 -3.585 -10.021
Cl -1.270 -14.261 -4.382
Cl -4.661 -6.160 -11.436
Cl 5.360 -6.190 1.032
Cl 15.027 4.173 -10.073
Cl -0.837 -14.708 -0.789
Cl -4.831 -8.689 -15.667
Cl -0.667 -11.237 -2.695
Cl -2.795 -11.164 -9.324
Cl -1.846 -7.836 -14.558
Cl 2.041 -2.791 -0.283
Cl 11.059 4.126 -7.234
Cl 11.626 -2.282 3.015
Cl -0.777 1.306 -14.632
Cl 0.312 5.660 -14.119
Cl 1.484 -12.710 0.403
Cl 9.575 0.060 -2.981
Cl 6.266 -2.141 -7.057
Cl 10.530 1.070 -8.724
Cl 8.205 2.659 -12.078
Cl 0.617 -3.114 -6.719
Cl 10.593 4.584 -10.822
Cl 14.643 -1.428 4.140
Cl 3.967 -11.928 -5.982
Cl 6.385 -6.607 -3.088
Cl 11.675 -5.786 0.587
Cl 1.919 -13.101 -3.506
Cl 12.997 -2.831 -3.079
Cl 9.051 -4.181 1.738
Cl -0.397 -5.356 -9.229
Cl 8.103 -11.091 -0.177
Cl 1.686 0.991 -11.353
Cl 4.841 -3.620 -2.623
Cl 2.496 -15.737 -1.066
Cl -1.907 -4.316 -12.133
Cl 7.287 5.564 -10.467
Cl -2.903 -5.512 -3.062
Cl 3.502 -9.197 -7.887
Cl 13.793 1.210 -9.211
Cl 14.762 -0.218 -0.202
Cl 2.661 0.027 -2.217
Cl 4.983 -6.473 -8.966
Cl 12.549 -1.358 -7.278
Cl 5.815 1.818 -5.573
Cl 4.780 -12.101 0.317
Cl 12.683 -4.622 -8.466
Cl 7.758 -8.471 1.824
Cl -0.655 -2.019 -9.789
Cl 12.621 1.187 -2.302
Cl 2.667 2.902 -5.689
Cl 4.972 2.011 -11.851
Cl 4.427 -3.906 -12.574
Cl 11.809 -5.064 -5.346
Cl 1.883 -4.848 -4.015
Cl 6.280 -12.935 -2.532
Cl 7.882 -5.248 -7.529
Cl 3.363 -1.946 -5.292
Cl -1.943 -11.402 -6.085
Cl -0.141 -1.939 -2.858
Cl 9.177 -6.988 -4.810
Cl 7.429 -0.373 -11.008
Cl 14.424 -3.944 -0.107
Cl 9.472 -15.772 2.577
Cl -1.972 -1.052 -12.666
Cl 6.811 -11.619 2.997
Cl -4.991 -9.842 -11.372
Cl 7.088 -13.007 -5.884
Cl 10.140 -4.759 -2.324
Cl 0.335 0.754 -4.728
Cl 2.970 1.520 -14.537
Cl -0.591 -7.857 -1.805
Cl -5.790 -9.949 -7.984
Cl 8.382 -14.381 -0.221
Cl 3.983 -6.998 -13.743
Cl 1.132 -10.125 -5.304
Cl 11.753 1.274 -5.490
Li 1.040 -5.902 -1.864
Li 1.618 -11.569 -1.779
Li 1.172 -0.934 -6.091
Li -0.803 -12.389 -0.510
Li -2.658 -10.015 -11.509
Li 3.657 -8.057 -10.082
Li 4.844 -10.580 -9.471
Li 9.576 -9.345 0.284
Li -1.713 -8.961 -9.031
Nb 12.319 -3.522 -10.630
Nb 12.423 -4.573 -1.436
Nb 12.315 -0.718 -9.649
Nb 15.247 1.560 -1.844
Nb 7.849 1.237 -4.300
Nb 2.079 -0.346 0.154
Nb 9.676 2.173 -6.446
Nb 2.950 -9.250 -13.601
Nb 4.337 -6.843 -6.557
Nb -1.705 -3.534 -8.159
Nb -2.901 -2.585 -10.667
Nb 3.038 -4.275 -6.170
Nb 5.563 -4.402 -7.664
Nb -5.546 -11.683 -9.738
Nb 4.278 -5.643 -3.906
Nb 0.231 0.373 -2.008
Nb 9.606 -10.488 -9.493
Nb 0.206 -8.376 -13.334
Nb 3.144 -10.756 1.599
Nb 5.959 -10.120 1.234
Nb 10.550 2.250 -3.598
Nb 10.125 -8.069 -11.132
Nb -2.598 -6.614 -0.880
Nb 8.709 -12.899 -2.164
Nb -2.611 -9.350 -1.856
Nb 7.792 -9.748 -11.682
Nb -2.572 -0.327 -15.171
Nb 11.432 -6.531 -3.425
Nb 1.927 -11.444 -7.244
Nb -2.707 -5.454 -10.107
Nb 9.374 -12.850 -5.026
Nb 9.596 -1.780 1.698
Nb 6.763 -0.922 1.977
Nb 3.927 -8.130 0.601
Nb 5.884 -1.965 -12.079
Nb 3.791 0.035 -12.727
Nb 0.951 -15.449 0.826
Nb 12.304 -9.782 3.690
Nb 8.819 5.245 -12.435
Nb 6.653 0.712 -13.080
Nb 5.519 -3.200 -4.962
Nb 0.358 2.759 -6.581
Nb 12.675 -7.448 -0.907
Nb 0.131 -12.385 -5.144
Nb -0.304 -1.996 -0.385
Nb 6.820 -5.835 -5.387
Nb 1.062 2.786 -9.449
Nb -0.690 -12.449 -7.948

[3]
7
Lattice="9.290 -1.903 0.000 9.290 1.903 0.000 8.900 0.000 3.273" Properties=species:S:1:pos:R:3 comment="Zr2HN2Cl2 GGA-PBE relaxed" energy_ev_per_atom=-7.12 delta_e_f_mev_per_atom=-1461.5 m_tot_mub_per_cell=0.07 space_group="No. 160" pbc="T T T"
Zr 3.450 0.000 0.411
Zr 24.172 0.000 2.879
N 21.945 0.000 2.614
N 5.517 0.000 0.657
H 20.909 0.000 2.490
Cl 16.751 0.000 1.995
Cl 10.726 0.000 1.278

[4]
72
Lattice="9.087 0.000 0.000 0.000 10.347 0.000 0.000 7.722 10.132" Properties=species:S:1:pos:R:3 comment="LiSnP4O12 GGA-PBE relaxed" energy_ev_per_atom=-6.83 delta_e_f_mev_per_atom=-2459.5 m_tot_mub_per_cell=2.57 space_group="No. 14" relative_energy_mev_per_atom=43 pbc="T T T"
O 4.308 9.788 6.667
O 3.015 3.298 0.143
O 2.859 6.835 2.599
O 8.812 8.997 6.713
O 4.819 5.136 1.647
O 1.528 7.159 5.209
O 7.559 10.910 4.923
O 0.235 5.926 1.602
O 6.456 9.433 0.856
O 0.555 2.897 1.598
O 8.533 15.173 8.534
O 6.779 4.300 0.112
O 4.092 1.249 1.188
O 7.179 4.853 2.548
O 8.636 12.959 3.878
O 4.164 8.301 0.973
O 5.099 11.312 3.468
O 1.685 10.697 7.664
O 0.452 5.111 6.253
O 8.852 12.143 8.530
O 1.912 4.775 4.210
O 4.779 8.282 3.464
O 4.268 12.933 8.485
O 8.707 5.907 4.093
O 7.708 6.690 6.999
O 5.923 2.829 1.933
O 2.309 13.770 10.019
O 3.989 6.758 6.664
O 2.235 9.908 4.954
O 6.453 8.715 7.613
O 4.924 9.768 9.158
O 7.175 13.294 5.921
O 0.923 6.858 8.106
O 8.164 11.211 2.026
O 6.229 11.234 7.533
O 3.165 15.240 8.198
O 7.403 7.373 2.467
O 4.995 16.820 8.944
O 2.635 9.355 2.518
O 6.852 8.161 5.178
O 2.632 8.636 9.276
O 1.379 11.379 3.132
O 0.275 9.072 3.419
O 0.380 12.162 6.039
O 6.072 14.771 9.989
O 1.909 13.216 7.584
O 5.467 15.073 7.092
O 3.620 2.997 3.040
P 5.569 8.433 0.177
P 2.987 13.703 8.672
P 4.446 16.051 7.632
P 8.062 12.294 5.242
P 6.101 4.367 1.460
P 1.557 9.841 3.606
P 0.097 12.190 2.566
P 1.025 5.775 4.889
P 0.881 11.963 7.534
P 4.641 2.018 2.499
P 3.519 9.636 9.955
P 5.424 9.968 7.663
P 8.990 5.880 7.565
P 8.207 6.107 2.597
P 3.663 8.102 2.468
P 7.531 8.228 6.526
Sn 1.930 8.572 6.996
Sn 6.474 13.358 8.202
Sn 2.613 4.711 1.930
Sn 7.157 9.497 3.136
Li 5.056 7.169 5.008
Li 0.512 7.039 0.058
Li 8.575 11.030 10.073
Li 4.031 10.901 5.124